1.
Entry from the Materials Project database: a geometry-optimized YbB2Ru3 structure (r2SCAN). Values from VASP.

Quantum ESPRESSO input file:
```
&SYSTEM
  ibrav = 0, nat = 6, ntyp = 3
/
ATOMIC_SPECIES
Yb 173.04 Yb.upf
B 10.81 B.upf
Ru 101.07 Ru.upf
CELL_PARAMETERS angstrom
5.444 0.000 0.000
-2.722 4.714 0.000
0.000 0.000 3.013
ATOMIC_POSITIONS angstrom
Yb 0.000 0.000 0.000
B 0.000 3.143 0.000
B 2.722 1.571 0.000
Ru -1.361 2.357 1.507
Ru 2.722 0.000 1.507
Ru 1.361 2.357 1.507
```

Results
Formation enthalpy at 0 K in eV/atom: -0.53
Crystal system: hexagonal

***

2.
Entry from the Materials Project database: a geometry-optimized UMnO4 structure (r2SCAN). Values from VASP.

Quantum ESPRESSO input file:
```
&SYSTEM
  ibrav = 0, nat = 12, ntyp = 3
/
ATOMIC_SPECIES
U 238.03 U.upf
Mn 54.94 Mn.upf
O 16.00 O.upf
CELL_PARAMETERS angstrom
-3.319 3.492 3.328
3.319 -3.492 3.328
3.319 3.492 -3.328
ATOMIC_POSITIONS angstrom
U 0.000 1.746 0.061
U 3.319 1.746 3.267
Mn 3.319 0.000 0.000
Mn 0.000 0.000 3.328
O 3.319 3.444 -2.040
O 1.969 1.746 0.061
O 4.669 1.746 0.061
O 3.319 -0.048 2.040
O 0.000 3.540 1.288
O -1.350 1.746 3.267
O 1.350 1.746 3.267
O 0.000 0.048 5.368
```

Results
Formation enthalpy at 0 K in eV/atom: -2.97
Crystal system: orthorhombic

***

3.
Entry from the Materials Project database: a geometry-optimized Er6NiI10 structure (r2SCAN). Values from VASP.

Quantum ESPRESSO input file:
```
&SYSTEM
  ibrav = 0, nat = 17, ntyp = 3
/
ATOMIC_SPECIES
Er 167.26 Er.upf
Ni 58.69 Ni.upf
I 126.90 I.upf
CELL_PARAMETERS angstrom
7.587 0.000 0.000
-2.424 9.212 0.000
-1.159 -3.224 8.899
ATOMIC_POSITIONS angstrom
Er -0.794 0.699 3.711
Er -0.774 4.114 2.355
Er 0.297 3.588 5.878
Er 3.706 2.401 3.021
Er 4.778 1.874 6.544
Er 4.797 5.289 5.188
Ni -1.791 2.994 4.450
I -1.834 7.017 2.826
I 0.928 1.725 1.355
I -0.558 2.317 8.587
I -0.522 6.288 6.891
I 1.995 0.968 5.289
I 2.009 5.020 3.610
I 4.525 -0.299 2.008
I 4.561 3.671 0.312
I 3.076 4.264 7.544
I 5.837 -1.029 6.073
```

Results
Formation enthalpy at 0 K in eV/atom: -1.38
Crystal system: triclinic